Ba4ZrN4 | PBE | optimized geometry

Calculated values
Energy with MP2020 corrections ... -6.4293 eV/atom
Formation energy ... -0.92 eV/atom

Lattice parameters (Å, degrees): 6.943 6.963 10.083 71.72 79.12 65.87
Space group P-1 (No. 2)
Symmetry-distinct sites (fractional):
Ba (0.220, 0.472, 0.116)
Ba (0.231, 0.922, 0.338)
Ba (0.251, 0.265, 0.532)
Ba (0.279, 0.009, 0.935)
Zr (0.280, 0.656, 0.742)
N (0.040, 0.817, 0.876)
N (0.107, 0.680, 0.579)
N (0.455, 0.343, 0.872)
N (0.480, 0.836, 0.687)

ZnCr4S8 | PBE | optimized geometry

Calculated values
Energy with MP2020 corrections ... -6.5019 eV/atom
Formation energy ... -0.89 eV/atom

Lattice parameters (Å, degrees): 6.8009 6.8009 18.2013 90.00 90.00 120.00
Space group R-3m (No. 166, hexagonal axes)
Symmetry-distinct sites (fractional):
Zn (0.0000, 0.0000, 0.0000)
Cr (0.0000, 0.0000, 0.5000)
Cr (0.0000, 0.5000, 0.5000)
S (0.0000, 0.0000, 0.2389)
S (0.0048, 0.5024, 0.7591)

CaEuYSbO6 | PBE | optimized geometry

Calculated values
Energy with MP2020 corrections ... -8.2069 eV/atom
Formation energy ... -2.95 eV/atom

Lattice parameters (Å, degrees): 8.353 8.353 8.353 90.00 90.00 90.00
Space group F-43m (No. 216)
Symmetry-distinct sites (fractional):
Ca (0.000, 0.000, 0.000)
Eu (0.000, 0.000, 0.500)
Y (0.250, 0.250, 0.250)
Sb (0.250, 0.250, 0.750)
O (0.013, 0.250, 0.750)

Cs2Sb2SO5F6 | PBE | optimized geometry

Calculated values
Energy with MP2020 corrections ... -5.3758 eV/atom
Formation energy ... -2.23 eV/atom

Lattice parameters (Å, degrees): 9.179 9.179 14.862 90.00 90.00 90.00
Space group P4_12_12 (No. 92)
Symmetry-distinct sites (fractional):
Cs (0.160, 0.316, 0.372)
Sb (0.134, 0.668, 0.126)
S (0.041, 0.041, 0.000)
O (0.070, 0.882, 0.004)
O (0.072, 0.928, 0.750)
O (0.102, 0.117, 0.082)
F (0.030, 0.615, 0.425)
F (0.064, 0.368, 0.575)
F (0.089, 0.288, 0.763)

- Among the records above, which one has the lowest formation energy?
  CaEuYSbO6